# 1
# Na5Y3Si3SnS3O24 PBE relaxed
# * energy with MP2020 corrections: -847.56 eV/cell
# * space group: P1, No. 1
# * uncorrected energy: -6.821 eV per atom
data_Na5Y3Si3SnS3O24
_symmetry_space_group_name_H-M 'P 1'
_symmetry_Int_Tables_number 1
_cell_length_a 9.3224
_cell_length_b 9.2923
_cell_length_c 23.5180
_cell_angle_alpha 90.93
_cell_angle_beta 89.83
_cell_angle_gamma 120.00
loop_
_symmetry_equiv_pos_as_xyz
'x,y,z'
loop_
_atom_site_label
_atom_site_type_symbol
_atom_site_fract_x
_atom_site_fract_y
_atom_site_fract_z
_atom_site_occupancy
Na1 Na 0.3369 0.6333 0.6706 1
Na2 Na 0.3691 0.0121 0.7604 1
Na3 Na 0.6415 0.3205 0.8330 1
Na4 Na 0.9722 0.6828 0.9240 1
Na5 Na 0.6535 0.0130 0.2594 1
Na6 Na 0.6669 0.9481 0.5848 1
Na7 Na 0.9965 0.9655 0.5019 1
Na8 Na 0.6724 0.3202 0.3375 1
Na9 Na 0.2884 0.6246 0.1605 1
Na10 Na 0.9602 0.3068 0.4088 1
Na11 Na 0.0061 0.9750 0.9980 1
Na12 Na 0.6893 0.0109 0.9112 1
Na13 Na 0.6285 0.6405 0.7464 1
Na14 Na 0.7057 0.6831 0.4286 1
Na15 Na 0.0000 0.6202 0.2478 1
Y1 Y 0.9982 0.0033 0.3527 1
Y2 Y 0.9966 0.0023 0.6525 1
Y3 Y 0.0075 0.0117 0.8502 1
Y4 Y 0.6770 0.3394 0.1815 1
Y5 Y 0.3346 0.6713 0.5169 1
Y6 Y 0.3220 0.6645 0.3208 1
Y7 Y 0.0012 0.0015 0.1432 1
Y8 Y 0.3330 0.6721 0.0186 1
Y9 Y 0.6640 0.3390 0.6866 1
O1 O 0.8745 0.5331 0.1411 1
O2 O 0.3617 0.4828 0.0786 1
O3 O 0.8349 0.4900 0.4224 1
O4 O 0.8227 0.0053 0.4143 1
O5 O 0.4701 0.3433 0.1328 1
O6 O 0.7960 0.0129 0.8100 1
O7 O 0.4904 0.3442 0.7469 1
O8 O 0.4657 0.1452 0.2450 1
O9 O 0.8677 0.3650 0.9198 1
O10 O 0.1631 0.6935 0.7582 1
O11 O 0.6608 0.5324 0.6390 1
O12 O 0.5362 0.6877 0.9698 1
O13 O 0.8426 0.5243 0.0242 1
O14 O 0.1761 0.9831 0.9110 1
O15 O 0.3037 0.8409 0.9688 1
O16 O 0.8564 0.3055 0.5277 1
O17 O 0.1379 0.6740 0.4714 1
O18 O 0.6595 0.4975 0.9205 1
O19 O 0.8724 0.3475 0.6310 1
O20 O 0.4939 0.3558 0.4228 1
O21 O 0.1907 0.2207 0.6935 1
O22 O 0.2178 0.0171 0.3015 1
O23 O 0.4640 0.1496 0.5300 1
O24 O 0.1322 0.4527 0.9684 1
O25 O 0.5223 0.1451 0.9258 1
O26 O 0.9929 0.8191 0.4137 1
O27 O 0.7891 0.8072 0.2005 1
O28 O 0.1945 0.2048 0.4107 1
O29 O 0.1931 0.9749 0.1990 1
O30 O 0.5487 0.8496 0.4714 1
O31 O 0.8270 0.3145 0.2489 1
O32 O 0.1182 0.4833 0.8657 1
O33 O 0.3142 0.8470 0.2530 1
O34 O 0.8182 0.8279 0.9138 1
O35 O 0.5283 0.6344 0.8568 1
O36 O 0.5043 0.8234 0.7544 1
O37 O 0.2062 0.1824 0.0841 1
O38 O 0.1608 0.4918 0.2514 1
O39 O 0.8626 0.5392 0.7446 1
O40 O 0.3749 0.8824 0.8575 1
O41 O 0.3149 0.4468 0.4689 1
O42 O 0.6585 0.1525 0.7465 1
O43 O 0.5400 0.6979 0.2548 1
O44 O 0.6511 0.1625 0.4281 1
O45 O 0.3693 0.4758 0.3675 1
O46 O 0.2195 0.1789 0.8036 1
O47 O 0.8029 0.7792 0.3024 1
O48 O 0.4737 0.1242 0.6332 1
O49 O 0.6795 0.5354 0.2449 1
O50 O 0.3668 0.8831 0.5762 1
O51 O 0.4512 0.3060 0.0292 1
O52 O 0.2097 0.0274 0.5834 1
O53 O 0.1238 0.4767 0.5771 1
O54 O 0.9664 0.1749 0.5843 1
O55 O 0.6807 0.1416 0.0299 1
O56 O 0.0077 0.2078 0.9109 1
O57 O 0.0359 0.8117 0.7026 1
O58 O 0.5216 0.8738 0.0786 1
O59 O 0.7757 0.9617 0.6955 1
O60 O 0.9798 0.7779 0.8043 1
O61 O 0.1413 0.6376 0.0802 1
O62 O 0.3092 0.4919 0.7598 1
O63 O 0.9765 0.8114 0.0811 1
O64 O 0.0072 0.1921 0.1974 1
O65 O 0.8339 0.8217 0.5812 1
O66 O 0.6515 0.1206 0.1339 1
O67 O 0.6794 0.5353 0.5225 1
O68 O 0.8211 0.0300 0.0831 1
O69 O 0.5042 0.6567 0.5805 1
O70 O 0.0970 0.6234 0.3592 1
O71 O 0.5314 0.8962 0.3582 1
O72 O 0.9786 0.1995 0.3105 1
Si1 Si 0.6933 0.9976 0.7524 1
Si2 Si 0.2969 0.3064 0.7514 1
Si3 Si 0.6322 0.9742 0.4184 1
Si4 Si 0.6325 0.6632 0.9176 1
Si5 Si 0.9624 0.6284 0.0818 1
Si6 Si 0.3387 0.9646 0.9173 1
Si7 Si 0.6688 0.6340 0.5829 1
Si8 Si 0.0008 0.3008 0.2512 1
Si9 Si 0.0246 0.6621 0.4180 1
S1 S 0.2970 0.9992 0.2494 1
S2 S 0.0366 0.3789 0.9163 1
S3 S 0.0104 0.7050 0.7523 1
S4 S 0.9579 0.3302 0.5814 1
S5 S 0.7016 0.7048 0.2499 1
S6 S 0.3418 0.3700 0.4178 1
S7 S 0.6692 0.0425 0.0808 1
S8 S 0.3732 0.3311 0.0817 1
S9 S 0.3767 0.0474 0.5809 1
Sn1 Sn 0.6576 0.3421 0.9803 1
Sn2 Sn 0.3597 0.6745 0.8187 1
Sn3 Sn 0.6751 0.3422 0.4836 1



# 2
# Na3YSi3Sn3S3O24 PBE relaxed
# * energy with MP2020 corrections: -776.80 eV/cell
# * space group: P1, No. 1
# * uncorrected energy: -6.553 eV per atom
data_Na3YSi3Sn3S3O24
_symmetry_space_group_name_H-M 'P 1'
_symmetry_Int_Tables_number 1
_cell_length_a 8.9948
_cell_length_b 9.0385
_cell_length_c 23.1491
_cell_angle_alpha 89.63
_cell_angle_beta 90.43
_cell_angle_gamma 120.15
loop_
_symmetry_equiv_pos_as_xyz
'x,y,z'
loop_
_atom_site_label
_atom_site_type_symbol
_atom_site_fract_x
_atom_site_fract_y
_atom_site_fract_z
_atom_site_occupancy
O1 O 0.3122 0.8349 0.2543 1
O2 O 0.2061 0.0054 0.3014 1
O3 O 0.4783 0.3166 0.7505 1
O4 O 0.1448 0.6864 0.4717 1
O5 O 0.9765 0.8251 0.0907 1
O6 O 0.5150 0.6482 0.8549 1
O7 O 0.3580 0.8804 0.8638 1
O8 O 0.6901 0.5465 0.5319 1
O9 O 0.8798 0.3562 0.6370 1
O10 O 0.1397 0.4505 0.9686 1
O11 O 0.8024 0.7850 0.3009 1
O12 O 0.1027 0.4757 0.8642 1
O13 O 0.3136 0.4877 0.7567 1
O14 O 0.4545 0.2934 0.0283 1
O15 O 0.1947 0.1818 0.8126 1
O16 O 0.4996 0.1316 0.9222 1
O17 O 0.9589 0.7954 0.8068 1
O18 O 0.3577 0.5090 0.0765 1
O19 O 0.2914 0.4599 0.4702 1
O20 O 0.0175 0.8059 0.4133 1
O21 O 0.1861 0.9837 0.9138 1
O22 O 0.1879 0.7139 0.7584 1
O23 O 0.8544 0.3428 0.9236 1
O24 O 0.3480 0.8586 0.5765 1
O25 O 0.7892 0.8103 0.1955 1
O26 O 0.6423 0.4975 0.9184 1
O27 O 0.6414 0.1123 0.1319 1
O28 O 0.4968 0.8692 0.3599 1
O29 O 0.4433 0.1389 0.5295 1
O30 O 0.1799 0.1843 0.4165 1
O31 O 0.0319 0.8326 0.6911 1
O32 O 0.4645 0.1099 0.6340 1
O33 O 0.8364 0.3225 0.2494 1
O34 O 0.8553 0.3073 0.5207 1
O35 O 0.4644 0.3537 0.1455 1
O36 O 0.5272 0.3777 0.4280 1
O37 O 0.5207 0.8484 0.4778 1
O38 O 0.8215 0.0199 0.0848 1
O39 O 0.1191 0.6299 0.3662 1
O40 O 0.0394 0.2042 0.1976 1
O41 O 0.4601 0.1472 0.2458 1
O42 O 0.8292 0.8063 0.5868 1
O43 O 0.9830 0.1547 0.5860 1
O44 O 0.1610 0.5072 0.5770 1
O45 O 0.8715 0.4981 0.4230 1
O46 O 0.7860 0.9647 0.6994 1
O47 O 0.3755 0.4816 0.3565 1
O48 O 0.8132 0.0219 0.8047 1
O49 O 0.5386 0.8338 0.7564 1
O50 O 0.6843 0.1416 0.7469 1
O51 O 0.3113 0.8531 0.9687 1
O52 O 0.1748 0.2168 0.6945 1
O53 O 0.5335 0.7003 0.9700 1
O54 O 0.5182 0.6568 0.5780 1
O55 O 0.5317 0.7022 0.2504 1
O56 O 0.8214 0.8484 0.9120 1
O57 O 0.1887 0.0088 0.5844 1
O58 O 0.6955 0.1504 0.0271 1
O59 O 0.6452 0.1503 0.4202 1
O60 O 0.6438 0.5348 0.6366 1
O61 O 0.1713 0.6784 0.0697 1
O62 O 0.0191 0.1992 0.9117 1
O63 O 0.8036 0.9745 0.4181 1
O64 O 0.1857 0.9616 0.1968 1
O65 O 0.6691 0.5322 0.2451 1
O66 O 0.9930 0.2053 0.3132 1
O67 O 0.9082 0.5248 0.1371 1
O68 O 0.8573 0.5582 0.0223 1
O69 O 0.1714 0.1678 0.0849 1
O70 O 0.5135 0.8689 0.0727 1
O71 O 0.1879 0.4934 0.2544 1
O72 O 0.8411 0.5309 0.7465 1
Si1 Si 0.2870 0.2912 0.7541 1
Si2 Si 0.9757 0.6437 0.0808 1
Si3 Si 0.0087 0.7207 0.7505 1
Si4 Si 0.3453 0.3755 0.4181 1
Si5 Si 0.6130 0.9520 0.4190 1
Si6 Si 0.0028 0.3012 0.2533 1
Si7 Si 0.6276 0.6738 0.9147 1
Si8 Si 0.3677 0.3334 0.0847 1
Si9 Si 0.9683 0.3317 0.5813 1
Y1 Y 0.6879 0.3460 0.1798 1
Y2 Y 0.6747 0.3346 0.6868 1
Y3 Y 0.9956 0.0018 0.3560 1
Sn1 Sn 0.3215 0.6562 0.8143 1
Sn2 Sn 0.6642 0.3610 0.9843 1
Sn3 Sn 0.3398 0.6599 0.3168 1
Sn4 Sn 0.6615 0.3170 0.4811 1
Sn5 Sn 0.0023 0.9933 0.8536 1
Sn6 Sn 0.0111 0.0130 0.1452 1
Sn7 Sn 0.0149 0.0165 0.6488 1
Sn8 Sn 0.3340 0.6552 0.5181 1
Sn9 Sn 0.3385 0.6612 0.0191 1
Na1 Na 0.9990 0.9888 0.0043 1
Na2 Na 0.9951 0.0092 0.4997 1
Na3 Na 0.2889 0.6376 0.6680 1
Na4 Na 0.3058 0.6501 0.1607 1
Na5 Na 0.6608 0.3431 0.8331 1
Na6 Na 0.6332 0.6223 0.7580 1
Na7 Na 0.6696 0.3162 0.3323 1
Na8 Na 0.9688 0.2877 0.4184 1
Na9 Na 0.3550 0.3563 0.2418 1
S1 S 0.7087 0.9935 0.7520 1
S2 S 0.6718 0.6344 0.5830 1
S3 S 0.7028 0.7102 0.2481 1
S4 S 0.0416 0.6588 0.4188 1
S5 S 0.2915 0.9878 0.2501 1
S6 S 0.3404 0.9615 0.9174 1
S7 S 0.6677 0.0407 0.0790 1
S8 S 0.0303 0.3678 0.9175 1
S9 S 0.3638 0.0288 0.5817 1



Number 1: formation enthalpy at 0 K -2.6939 eV per atom, calculated density 3.007 Mg/m³. Number 2: formation enthalpy at 0 K -2.4064 eV per atom, calculated density 3.301 Mg/m³.